(1)
## Li3Fe4B4O12 (PBE+U)

Data for an optimized crystal structure of Li3Fe4B4O12.

Values from the calculation:
- Polymorph energy (0 for the lowest one): 0.004 eV/atom
- Space-group type: Pc

a = 9.006 Å, b = 5.267 Å, c = 10.272 Å
α = 88.18°, β = 90.00°, γ = 90.00°
Positions (direct):
Li 0.988 0.657 0.837
Li 0.995 0.337 0.083
Li 0.504 0.851 0.579
Li 0.496 0.851 0.079
Li 0.012 0.657 0.337
Li 0.005 0.337 0.583
Fe 0.837 0.838 0.113
Fe 0.821 0.152 0.362
Fe 0.652 0.665 0.868
Fe 0.668 0.336 0.627
Fe 0.348 0.665 0.368
Fe 0.163 0.838 0.613
Fe 0.332 0.336 0.127
Fe 0.179 0.152 0.862
B 0.829 0.831 0.628
B 0.678 0.668 0.382
B 0.840 0.168 0.869
B 0.662 0.343 0.118
B 0.322 0.668 0.882
B 0.338 0.343 0.618
B 0.171 0.831 0.128
B 0.160 0.168 0.369
O 0.958 0.691 0.635
O 0.834 0.908 0.900
O 0.968 0.305 0.889
O 0.808 0.778 0.329
O 0.692 0.712 0.653
O 0.797 0.224 0.150
O 0.831 0.088 0.594
O 0.661 0.599 0.081
O 0.549 0.801 0.386
O 0.689 0.421 0.435
O 0.715 0.296 0.819
O 0.451 0.801 0.886
O 0.531 0.207 0.124
O 0.308 0.712 0.153
O 0.339 0.599 0.581
O 0.469 0.207 0.624
O 0.311 0.421 0.935
O 0.166 0.908 0.400
O 0.192 0.778 0.829
O 0.285 0.296 0.319
O 0.203 0.224 0.650
O 0.042 0.691 0.135
O 0.169 0.088 0.094
O 0.032 0.305 0.389



(2)
## Li3V5P7O29 (PBE+U)

Data for an optimized crystal structure of Li3V5P7O29.

Values from the calculation:
- Space-group type: P1

a = 6.360 Å, b = 10.416 Å, c = 19.273 Å
α = 89.28°, β = 84.77°, γ = 72.67°
Positions (direct):
Li 0.314 0.095 0.496
Li 0.347 0.387 0.751
Li 0.181 0.669 0.845
Li 0.897 0.884 0.070
Li 0.861 0.327 0.137
Li 0.656 0.605 0.248
V 0.078 0.043 0.653
V 0.329 0.312 0.017
V 0.404 0.141 0.164
V 0.087 0.753 0.200
V 0.209 0.364 0.393
V 0.798 0.641 0.603
V 0.914 0.245 0.806
V 0.605 0.860 0.831
V 0.657 0.693 0.983
V 0.925 0.960 0.350
P 0.144 0.434 0.227
P 0.044 0.683 0.453
P 0.173 0.644 0.027
P 0.388 0.046 0.337
P 0.259 0.722 0.576
P 0.425 0.202 0.849
P 0.085 0.919 0.807
P 0.917 0.082 0.193
P 0.576 0.796 0.153
P 0.752 0.282 0.421
P 0.619 0.955 0.660
P 0.822 0.363 0.975
P 0.963 0.318 0.545
P 0.865 0.564 0.770
O 0.012 0.301 0.022
O 0.086 0.156 0.166
O 0.005 0.061 0.837
O 0.067 0.173 0.569
O 0.180 0.496 0.041
O 0.143 0.345 0.490
O 0.387 0.102 0.263
O 0.301 0.335 0.173
O 0.410 0.167 0.067
O 0.154 0.718 0.097
O 0.013 0.818 0.284
O 0.317 0.158 0.394
O 0.128 0.568 0.399
O 0.205 0.566 0.221
O 0.228 0.377 0.299
O 0.219 0.258 0.807
O 0.104 0.652 0.614
O 0.108 0.551 0.776
O 0.388 0.046 0.646
O 0.250 0.694 0.492
O 0.493 0.051 0.858
O 0.378 0.274 0.921
O 0.113 0.913 0.727
O 0.194 0.876 0.585
O 0.609 0.356 0.019
O 0.698 0.169 0.165
O 0.227 0.960 0.350
O 0.514 0.355 0.407
O 0.400 0.758 0.203
O 0.597 0.253 0.803
O 0.496 0.644 0.588
O 0.776 0.041 0.646
O 0.307 0.834 0.834
O 0.376 0.649 0.978
O 0.821 0.128 0.414
O 0.886 0.084 0.272
O 0.601 0.727 0.081
O 0.539 0.947 0.140
O 0.755 0.314 0.504
O 0.621 0.955 0.349
O 0.902 0.446 0.221
O 0.905 0.352 0.383
O 0.788 0.733 0.191
O 0.783 0.617 0.697
O 0.812 0.429 0.777
O 0.887 0.428 0.599
O 0.689 0.834 0.610
O 0.989 0.176 0.715
O 0.855 0.292 0.904
O 0.590 0.831 0.932
O 0.703 0.663 0.823
O 0.616 0.902 0.737
O 0.871 0.651 0.506
O 0.814 0.512 0.961
O 0.949 0.824 0.423
O 0.985 0.941 0.159
O 0.924 0.838 0.834
O 0.962 0.721 0.992



(3)
## Li5FeOF5 (PBE+U)

Data for an optimized crystal structure of Li5FeOF5.

Values from the calculation:
- Space-group type: P3_1

a = 5.147 Å, b = 5.147 Å, c = 14.511 Å
α = 90.00°, β = 90.00°, γ = 120.00°
Positions (direct):
Li 0.756 0.216 0.828
Li 0.774 0.864 0.494
Li 0.778 0.903 0.005
Li 0.125 0.222 0.672
Li 0.090 0.226 0.161
Li 0.784 0.540 0.162
Li 0.136 0.910 0.828
Li 0.097 0.875 0.338
Li 0.097 0.542 0.005
Li 0.099 0.557 0.497
Li 0.460 0.244 0.495
Li 0.445 0.903 0.671
Li 0.458 0.901 0.164
Li 0.443 0.542 0.830
Li 0.458 0.555 0.338
Fe 0.777 0.244 0.338
Fe 0.756 0.533 0.671
Fe 0.467 0.223 0.005
O 0.771 0.222 0.082
O 0.778 0.549 0.415
O 0.451 0.229 0.748
F 0.779 0.207 0.580
F 0.787 0.906 0.751
F 0.776 0.907 0.254
F 0.118 0.213 0.418
F 0.793 0.573 0.914
F 0.131 0.224 0.921
F 0.093 0.869 0.587
F 0.094 0.882 0.085
F 0.125 0.569 0.247
F 0.125 0.560 0.751
F 0.427 0.221 0.247
F 0.444 0.875 0.914
F 0.435 0.875 0.418
F 0.440 0.565 0.084
F 0.431 0.556 0.581



(4)
## Na2MoH8O12 (PBE+U)

Data for an optimized crystal structure of Na2MoH8O12.

Values from the calculation:
- Space-group type: P2_1/c

a = 8.735 Å, b = 9.170 Å, c = 12.562 Å
α = 86.31°, β = 90.00°, γ = 90.00°
Positions (direct):
Na 0.848 0.810 0.516
Na 0.348 0.190 0.984
Na 0.152 0.190 0.484
Na 0.652 0.810 0.016
Na 0.814 0.667 0.782
Na 0.314 0.333 0.718
Na 0.186 0.333 0.218
Na 0.686 0.667 0.282
Mo 0.231 0.762 0.627
Mo 0.731 0.238 0.873
Mo 0.769 0.238 0.373
Mo 0.269 0.762 0.127
H 0.722 0.985 0.201
H 0.222 0.015 0.299
H 0.278 0.015 0.799
H 0.778 0.985 0.701
H 0.865 0.890 0.176
H 0.365 0.110 0.324
H 0.135 0.110 0.824
H 0.635 0.890 0.676
H 0.512 0.782 0.460
H 0.012 0.218 0.040
H 0.488 0.218 0.540
H 0.988 0.782 0.960
H 0.586 0.920 0.395
H 0.086 0.080 0.105
H 0.414 0.080 0.605
H 0.914 0.920 0.895
H 0.949 0.561 0.379
H 0.449 0.439 0.121
H 0.051 0.439 0.621
H 0.551 0.561 0.879
H 0.015 0.712 0.330
H 0.515 0.288 0.170
H 0.985 0.288 0.670
H 0.485 0.712 0.830
H 0.708 0.502 0.574
H 0.208 0.498 0.926
H 0.292 0.498 0.426
H 0.792 0.502 0.074
H 0.593 0.605 0.622
H 0.093 0.395 0.878
H 0.407 0.395 0.378
H 0.907 0.605 0.122
O 0.421 0.882 0.653
O 0.921 0.118 0.847
O 0.579 0.118 0.347
O 0.079 0.882 0.153
O 0.344 0.836 0.755
O 0.844 0.164 0.745
O 0.656 0.164 0.245
O 0.156 0.836 0.255
O 0.046 0.636 0.613
O 0.546 0.364 0.887
O 0.954 0.364 0.387
O 0.454 0.636 0.113
O 0.081 0.663 0.726
O 0.581 0.337 0.774
O 0.919 0.337 0.274
O 0.419 0.663 0.226
O 0.344 0.650 0.520
O 0.844 0.350 0.980
O 0.656 0.350 0.480
O 0.156 0.650 0.020
O 0.371 0.587 0.629
O 0.871 0.413 0.871
O 0.629 0.413 0.371
O 0.129 0.587 0.129
O 0.108 0.943 0.614
O 0.608 0.057 0.886
O 0.892 0.057 0.386
O 0.392 0.943 0.114
O 0.160 0.898 0.508
O 0.660 0.102 0.992
O 0.840 0.102 0.492
O 0.340 0.898 0.008
O 0.753 0.887 0.182
O 0.253 0.113 0.318
O 0.247 0.113 0.818
O 0.747 0.887 0.682
O 0.605 0.818 0.423
O 0.105 0.182 0.077
O 0.395 0.182 0.577
O 0.895 0.818 0.923
O 0.929 0.667 0.370
O 0.429 0.333 0.130
O 0.071 0.333 0.630
O 0.571 0.667 0.870
O 0.704 0.593 0.612
O 0.204 0.407 0.888
O 0.296 0.407 0.388
O 0.796 0.593 0.112



(5)
## Li2Mn5Si5O16 (PBE+U)

Data for an optimized crystal structure of Li2Mn5Si5O16.

Values from the calculation:
- Space-group type: P1

a = 5.140 Å, b = 7.066 Å, c = 10.495 Å
α = 89.17°, β = 89.87°, γ = 89.81°
Positions (direct):
Li 0.356 0.503 0.337
Li 0.821 0.999 0.144
Mn 0.180 0.011 0.859
Mn 0.188 0.520 0.849
Mn 0.692 0.495 0.643
Mn 0.834 0.498 0.153
Mn 0.679 0.996 0.659
Si 0.301 0.990 0.336
Si 0.178 0.768 0.586
Si 0.343 0.743 0.106
Si 0.795 0.230 0.403
Si 0.682 0.255 0.911
O 0.280 0.949 0.667
O 0.220 0.931 0.191
O 0.860 0.754 0.594
O 0.233 0.762 0.959
O 0.655 0.757 0.118
O 0.269 0.803 0.432
O 0.298 0.571 0.646
O 0.227 0.553 0.173
O 0.722 0.432 0.340
O 0.799 0.444 0.834
O 0.105 0.167 0.373
O 0.363 0.264 0.891
O 0.754 0.238 0.555
O 0.776 0.247 0.059
O 0.606 0.060 0.341
O 0.784 0.060 0.841



(6)
## Li8Fe7SbP12O48 (PBE+U)

Data for an optimized crystal structure of Li8Fe7SbP12O48.

Values from the calculation:
- Space-group type: P1

a = 8.668 Å, b = 8.796 Å, c = 12.234 Å
α = 90.22°, β = 90.01°, γ = 90.09°
Positions (direct):
Li 0.217 0.723 0.182
Li 0.219 0.777 0.818
Li 0.283 0.222 0.318
Li 0.281 0.277 0.683
Li 0.716 0.724 0.316
Li 0.717 0.789 0.683
Li 0.784 0.222 0.182
Li 0.786 0.274 0.826
Fe 0.247 0.960 0.613
Fe 0.249 0.540 0.387
Fe 0.251 0.041 0.113
Fe 0.251 0.458 0.888
Fe 0.749 0.541 0.111
Fe 0.748 0.960 0.889
Fe 0.751 0.038 0.386
Sb 0.752 0.462 0.613
P 0.042 0.248 0.498
P 0.461 0.750 0.000
P 0.539 0.250 0.001
P 0.962 0.751 0.498
P 0.105 0.393 0.147
P 0.106 0.106 0.853
P 0.392 0.604 0.646
P 0.394 0.893 0.354
P 0.603 0.106 0.645
P 0.604 0.392 0.350
P 0.896 0.609 0.852
P 0.895 0.892 0.147
O 0.054 0.637 0.431
O 0.055 0.855 0.572
O 0.074 0.895 0.156
O 0.073 0.604 0.841
O 0.145 0.163 0.581
O 0.147 0.338 0.421
O 0.155 0.434 0.030
O 0.156 0.066 0.969
O 0.162 0.232 0.179
O 0.162 0.267 0.821
O 0.173 0.514 0.225
O 0.174 0.985 0.774
O 0.326 0.014 0.275
O 0.329 0.484 0.725
O 0.345 0.766 0.680
O 0.336 0.732 0.321
O 0.349 0.565 0.529
O 0.344 0.934 0.470
O 0.352 0.837 0.079
O 0.352 0.662 0.921
O 0.427 0.110 0.656
O 0.427 0.394 0.344
O 0.443 0.143 0.071
O 0.444 0.358 0.930
O 0.557 0.643 0.071
O 0.557 0.857 0.929
O 0.578 0.604 0.657
O 0.572 0.896 0.344
O 0.647 0.338 0.081
O 0.647 0.163 0.921
O 0.656 0.073 0.529
O 0.653 0.434 0.471
O 0.664 0.233 0.321
O 0.664 0.272 0.682
O 0.676 0.515 0.276
O 0.675 0.993 0.726
O 0.827 0.013 0.226
O 0.825 0.482 0.771
O 0.838 0.731 0.178
O 0.835 0.766 0.818
O 0.841 0.560 0.965
O 0.845 0.933 0.030
O 0.850 0.663 0.582
O 0.849 0.835 0.422
O 0.927 0.103 0.845
O 0.926 0.396 0.155
O 0.940 0.143 0.431
O 0.947 0.361 0.574



(7)
## LiFe2SiO4 (PBE+U)

Data for an optimized crystal structure of LiFe2SiO4.

Values from the calculation:
- Space-group type: Pmn2_1

a = 5.101 Å, b = 5.739 Å, c = 6.314 Å
α = 90.00°, β = 90.00°, γ = 90.00°
Positions (direct):
Li 0.492 0.335 0.000
Li 0.992 0.665 0.500
Fe 0.454 0.861 0.233
Fe 0.954 0.139 0.267
Fe 0.954 0.139 0.733
Fe 0.454 0.861 0.767
Si 0.001 0.649 0.000
Si 0.501 0.351 0.500
O 0.908 0.796 0.213
O 0.408 0.204 0.287
O 0.408 0.204 0.713
O 0.908 0.796 0.787
O 0.327 0.636 0.000
O 0.827 0.364 0.500
O 0.885 0.381 0.000
O 0.385 0.619 0.500



| no. | corrected total energy (MP2020 scheme) (eV/cell) | VASP energy (eV per atom) | density (Mg/m³) |
| --- | --- | --- | --- |
| 1 | -357.244 | -7.02 | 3.3 |
| 2 | -694.381 | -7.24 | 2.6 |
| 3 | -197.838 | -5.06 | 3.0 |
| 4 | -520.311 | -5.16 | 2.3 |
| 5 | -232.034 | -7.60 | 3.0 |
| 6 | -566.281 | -6.81 | 3.0 |
| 7 | -120.755 | -6.64 | 3.8 |